No. 1
LiBeH5N2F4 | PBE-GGA | optimized geometry

DFT total energy = -269.6 eV for the cell shown
energy relative to the elements = -22.3 eV per formula unit
energy with MP2020 corrections = -5.327 eV per atom

Cell: 9.9257 8.9572 5.1687 Å, 90.00 90.00 90.00°
Last column: nearest neighbours and their distance in Å.
Positions (direct):
Li (0.1786, 0.0648, 0.0000)  4 F 1.86-1.91
Li (0.3214, 0.5648, 0.5000)  4 F 1.86-1.91
Li (0.6786, 0.4352, 0.0000)  4 F 1.86-1.91
Li (0.8214, 0.9352, 0.5000)  4 F 1.86-1.91
Be (0.1593, 0.8721, 0.4950)  4 F 1.55-1.59
Be (0.3407, 0.3721, 0.9950)  4 F 1.55-1.59
Be (0.6593, 0.6279, 0.4950)  4 F 1.55-1.59
Be (0.8407, 0.1279, 0.9950)  4 F 1.55-1.59
H (0.0194, 0.5428, 0.8067)  1 N 1.04
H (0.0265, 0.2022, 0.3464)  1 N 1.04
H (0.0530, 0.2267, 0.6673)  1 N 1.04
H (0.1184, 0.6179, 0.0310)  1 N 1.02
H (0.1580, 0.3060, 0.4462)  1 N 1.04
H (0.3420, 0.8060, 0.9462)  1 N 1.04
H (0.3816, 0.1179, 0.5310)  1 N 1.02
H (0.4470, 0.7267, 0.1673)  1 N 1.04
H (0.4735, 0.7022, 0.8464)  1 N 1.04
H (0.4806, 0.0428, 0.3067)  1 N 1.04
H (0.5194, 0.9572, 0.8067)  1 N 1.04
H (0.5265, 0.2978, 0.3464)  1 N 1.04
H (0.5530, 0.2733, 0.6673)  1 N 1.04
H (0.6184, 0.8821, 0.0310)  1 N 1.02
H (0.6580, 0.1940, 0.4462)  1 N 1.04
H (0.8420, 0.6940, 0.9462)  1 N 1.04
H (0.8816, 0.3821, 0.5310)  1 N 1.02
H (0.9470, 0.7733, 0.1673)  1 N 1.04
H (0.9735, 0.7978, 0.8464)  1 N 1.04
H (0.9806, 0.4572, 0.3067)  1 N 1.04
N (0.0212, 0.5871, 0.9916)  2 H 1.02-1.04
N (0.0581, 0.2776, 0.4862)  3 H 1.04
N (0.4419, 0.7776, 0.9862)  3 H 1.04
N (0.4788, 0.0871, 0.4916)  2 H 1.02-1.04
N (0.5212, 0.9129, 0.9916)  2 H 1.02-1.04
N (0.5581, 0.2224, 0.4862)  3 H 1.04
N (0.9419, 0.7224, 0.9862)  3 H 1.04
N (0.9788, 0.4129, 0.4916)  2 H 1.02-1.04
F (0.0003, 0.1438, 0.9726)  1 Be 1.59
F (0.9997, 0.8562, 0.4726)  1 Be 1.59
F (0.1960, 0.8921, 0.7906)  1 Be 1.58
F (0.2035, 0.0146, 0.3458)  1 Be 1.55
F (0.2249, 0.7294, 0.3825)  1 Be 1.55
F (0.2751, 0.2294, 0.8825)  1 Be 1.55
F (0.2965, 0.5146, 0.8458)  1 Be 1.55
F (0.3040, 0.3921, 0.2906)  1 Be 1.58
F (0.5003, 0.3562, 0.9726)  1 Be 1.59
F (0.4997, 0.6438, 0.4726)  1 Be 1.59
F (0.6960, 0.6079, 0.7906)  1 Be 1.58
F (0.7035, 0.4854, 0.3458)  1 Be 1.55
F (0.7249, 0.7706, 0.3825)  1 Be 1.55
F (0.7751, 0.2706, 0.8825)  1 Be 1.55
F (0.7965, 0.9854, 0.8458)  1 Be 1.55
F (0.8040, 0.1079, 0.2906)  1 Be 1.58

---

No. 2
Rh6C19NO15 | PBE-GGA | optimized geometry

DFT total energy = -1236.9 eV for the cell shown
energy relative to the elements = -17.5 eV per formula unit
energy with MP2020 corrections = -7.794 eV per atom

Cell: 9.7982 17.9288 17.9764 Å, 90.00 98.15 90.00°
Last column: nearest neighbours and their distance in Å.
Positions (direct):
Rh (0.0014, 0.0754, 0.4935)  4 C 2.02-2.21
Rh (0.0014, 0.4246, 0.9935)  4 C 2.02-2.21
Rh (0.0037, 0.1895, 0.9687)  2 C 1.91
Rh (0.0037, 0.3105, 0.4687)  2 C 1.91
Rh (0.0374, 0.6840, 0.1273)  2 C 1.91
Rh (0.0374, 0.8160, 0.6273)  2 C 1.91
Rh (0.0441, 0.2071, 0.5896)  2 C 1.90-1.92
Rh (0.0441, 0.2929, 0.0896)  2 C 1.90-1.92
Rh (0.1961, 0.7028, 0.0078)  2 C 1.91
Rh (0.1961, 0.7972, 0.5078)  2 C 1.91
Rh (0.2029, 0.1963, 0.4704)  3 C 1.91-2.13
Rh (0.2029, 0.3037, 0.9704)  3 C 1.91-2.13
Rh (0.7971, 0.6963, 0.0296)  3 C 1.91-2.13
Rh (0.7971, 0.8037, 0.5296)  3 C 1.91-2.13
Rh (0.8039, 0.2028, 0.4922)  2 C 1.91
Rh (0.8039, 0.2972, 0.9922)  2 C 1.91
Rh (0.9559, 0.7071, 0.9104)  2 C 1.90-1.92
Rh (0.9559, 0.7929, 0.4104)  2 C 1.90-1.92
Rh (0.9626, 0.1840, 0.3727)  2 C 1.91
Rh (0.9626, 0.3160, 0.8727)  2 C 1.91
Rh (0.9963, 0.6895, 0.5313)  2 C 1.91
Rh (0.9963, 0.8105, 0.0313)  2 C 1.91
Rh (0.9986, 0.5754, 0.0065)  4 C 2.02-2.21
Rh (0.9986, 0.9246, 0.5065)  4 C 2.02-2.21
C (0.0215, 0.6564, 0.8295)  1 O 1.15
C (0.0215, 0.8436, 0.3295)  1 O 1.15
C (0.0309, 0.1203, 0.3014)  1 O 1.15
C (0.0309, 0.3797, 0.8014)  1 O 1.15
C (0.0947, 0.5062, 0.9422)  1 O 1.18
C (0.0947, 0.9938, 0.4422)  1 O 1.18
C (0.1115, 0.7018, 0.4379)  1 O 1.18
C (0.1115, 0.7982, 0.9379)  1 O 1.18
C (0.1163, 0.6220, 0.5915)  1 O 1.15
C (0.1163, 0.8780, 0.0915)  1 O 1.15
C (0.1229, 0.2260, 0.8821)  1 O 1.18
C (0.1229, 0.2740, 0.3821)  1 O 1.18
C (0.1248, 0.1111, 0.0081)  1 O 1.16
C (0.1248, 0.3889, 0.5081)  1 O 1.16
C (0.1775, 0.7238, 0.2015)  1 O 1.15
C (0.1775, 0.7762, 0.7015)  1 O 1.15
C (0.1790, 0.6104, 0.0814)  1 O 1.19
C (0.1790, 0.8896, 0.5814)  1 O 1.19
C (0.1813, 0.2387, 0.1549)  1 O 1.15
C (0.1813, 0.2613, 0.6549)  1 O 1.15
C (0.1853, 0.1232, 0.5621)  1 O 1.19
C (0.1853, 0.3768, 0.0621)  1 O 1.19
C (0.2977, 0.0256, 0.7989)  1 N 1.50, 2 C 1.55-1.60
C (0.2977, 0.4744, 0.2989)  1 N 1.50, 2 C 1.55-1.60
C (0.3115, 0.6599, 0.9421)  1 O 1.15
C (0.3115, 0.8401, 0.4421)  1 O 1.15
C (0.3201, 0.1386, 0.4164)  1 O 1.15
C (0.3201, 0.3614, 0.9164)  1 O 1.15
C (0.3472, 0.7498, 0.0688)  1 O 1.16
C (0.3472, 0.7502, 0.5688)  1 O 1.16
C (0.3506, 0.2442, 0.0194)  1 O 1.16
C (0.3506, 0.2558, 0.5194)  1 O 1.16
C (0.4332, 0.0684, 0.7943)  2 C 1.47-1.55
C (0.4332, 0.4316, 0.2943)  2 C 1.47-1.55
C (0.4376, 0.0138, 0.8557)  2 C 1.41-1.47
C (0.4376, 0.4862, 0.3557)  2 C 1.41-1.47
C (0.4728, 0.5592, 0.3364)  1 C 1.41, 1 N 1.47
C (0.4728, 0.9408, 0.8364)  1 C 1.41, 1 N 1.47
C (0.5272, 0.0592, 0.1636)  1 C 1.41, 1 N 1.47
C (0.5272, 0.4408, 0.6636)  1 C 1.41, 1 N 1.47
C (0.5624, 0.5138, 0.6443)  2 C 1.41-1.47
C (0.5624, 0.9862, 0.1443)  2 C 1.41-1.47
C (0.5668, 0.5684, 0.7057)  2 C 1.47-1.55
C (0.5668, 0.9316, 0.2057)  2 C 1.47-1.55
C (0.6494, 0.7442, 0.4806)  1 O 1.16
C (0.6494, 0.7558, 0.9806)  1 O 1.16
C (0.6528, 0.2498, 0.4312)  1 O 1.16
C (0.6528, 0.2502, 0.9312)  1 O 1.16
C (0.6799, 0.6386, 0.0836)  1 O 1.15
C (0.6799, 0.8614, 0.5836)  1 O 1.15
C (0.6885, 0.1599, 0.5579)  1 O 1.15
C (0.6885, 0.3401, 0.0579)  1 O 1.15
C (0.7023, 0.5256, 0.7011)  1 N 1.50, 2 C 1.55-1.60
C (0.7023, 0.9744, 0.2011)  1 N 1.50, 2 C 1.55-1.60
C (0.8147, 0.6232, 0.9379)  1 O 1.19
C (0.8147, 0.8768, 0.4379)  1 O 1.19
C (0.8187, 0.7387, 0.3451)  1 O 1.15
C (0.8187, 0.7613, 0.8451)  1 O 1.15
C (0.8210, 0.1104, 0.4186)  1 O 1.19
C (0.8210, 0.3896, 0.9186)  1 O 1.19
C (0.8225, 0.2238, 0.2985)  1 O 1.15
C (0.8225, 0.2762, 0.7985)  1 O 1.15
C (0.8752, 0.6111, 0.4919)  1 O 1.16
C (0.8752, 0.8889, 0.9919)  1 O 1.16
C (0.8771, 0.7260, 0.6179)  1 O 1.18
C (0.8771, 0.7740, 0.1179)  1 O 1.18
C (0.8837, 0.1220, 0.9085)  1 O 1.15
C (0.8837, 0.3780, 0.4085)  1 O 1.15
C (0.8885, 0.2018, 0.0621)  1 O 1.18
C (0.8885, 0.2982, 0.5621)  1 O 1.18
C (0.9053, 0.0062, 0.5578)  1 O 1.18
C (0.9053, 0.4938, 0.0578)  1 O 1.18
C (0.9691, 0.6203, 0.1986)  1 O 1.15
C (0.9691, 0.8797, 0.6986)  1 O 1.15
C (0.9785, 0.1564, 0.6705)  1 O 1.15
C (0.9785, 0.3436, 0.1705)  1 O 1.15
N (0.4060, 0.5204, 0.2691)  2 C 1.47-1.50
N (0.4060, 0.9796, 0.7691)  2 C 1.47-1.50
N (0.5940, 0.0204, 0.2309)  2 C 1.47-1.50
N (0.5940, 0.4796, 0.7309)  2 C 1.47-1.50
O (0.0558, 0.6256, 0.7789)  1 C 1.15
O (0.0558, 0.8744, 0.2789)  1 C 1.15
O (0.0682, 0.0839, 0.2553)  1 C 1.15
O (0.0682, 0.4161, 0.7553)  1 C 1.15
O (0.1631, 0.6599, 0.3994)  1 C 1.18
O (0.1631, 0.8401, 0.8994)  1 C 1.18
O (0.1712, 0.5111, 0.8972)  1 C 1.18
O (0.1712, 0.9889, 0.3972)  1 C 1.18
O (0.1756, 0.1948, 0.8355)  1 C 1.18
O (0.1756, 0.3052, 0.3355)  1 C 1.18
O (0.1873, 0.5807, 0.6280)  1 C 1.15
O (0.1873, 0.9193, 0.1280)  1 C 1.15
O (0.1971, 0.0626, 0.0304)  1 C 1.16
O (0.1971, 0.4374, 0.5304)  1 C 1.16
O (0.2639, 0.7463, 0.2463)  1 C 1.15
O (0.2639, 0.7537, 0.7463)  1 C 1.15
O (0.2645, 0.2069, 0.1945)  1 C 1.15
O (0.2645, 0.2931, 0.6945)  1 C 1.15
O (0.2650, 0.5705, 0.1132)  1 C 1.19
O (0.2650, 0.9295, 0.6132)  1 C 1.19
O (0.2677, 0.0874, 0.6017)  1 C 1.19
O (0.2677, 0.4126, 0.1017)  1 C 1.19
O (0.3865, 0.6373, 0.9034)  1 C 1.15
O (0.3865, 0.8627, 0.4034)  1 C 1.15
O (0.3959, 0.1074, 0.3838)  1 C 1.15
O (0.3959, 0.3926, 0.8838)  1 C 1.15
O (0.4383, 0.2064, 0.0478)  1 C 1.16
O (0.4383, 0.2936, 0.5478)  1 C 1.16
O (0.4391, 0.7219, 0.6055)  1 C 1.16
O (0.4391, 0.7781, 0.1055)  1 C 1.16
O (0.5609, 0.2219, 0.8945)  1 C 1.16
O (0.5609, 0.2781, 0.3945)  1 C 1.16
O (0.5617, 0.7064, 0.4522)  1 C 1.16
O (0.5617, 0.7936, 0.9522)  1 C 1.16
O (0.6041, 0.6074, 0.1162)  1 C 1.15
O (0.6041, 0.8926, 0.6162)  1 C 1.15
O (0.6135, 0.1373, 0.5966)  1 C 1.15
O (0.6135, 0.3627, 0.0966)  1 C 1.15
O (0.7323, 0.5874, 0.8983)  1 C 1.19
O (0.7323, 0.9126, 0.3983)  1 C 1.19
O (0.7350, 0.0705, 0.3868)  1 C 1.19
O (0.7350, 0.4295, 0.8868)  1 C 1.19
O (0.7355, 0.7069, 0.3055)  1 C 1.15
O (0.7355, 0.7931, 0.8055)  1 C 1.15
O (0.7361, 0.2463, 0.2537)  1 C 1.15
O (0.7361, 0.2537, 0.7537)  1 C 1.15
O (0.8029, 0.5626, 0.4696)  1 C 1.16
O (0.8029, 0.9374, 0.9696)  1 C 1.16
O (0.8127, 0.0807, 0.8720)  1 C 1.15
O (0.8127, 0.4193, 0.3720)  1 C 1.15
O (0.8244, 0.6948, 0.6645)  1 C 1.18
O (0.8244, 0.8052, 0.1645)  1 C 1.18
O (0.8288, 0.0111, 0.6028)  1 C 1.18
O (0.8288, 0.4889, 0.1028)  1 C 1.18
O (0.8369, 0.1599, 0.1006)  1 C 1.18
O (0.8369, 0.3401, 0.6006)  1 C 1.18
O (0.9318, 0.5839, 0.2447)  1 C 1.15
O (0.9318, 0.9161, 0.7447)  1 C 1.15
O (0.9442, 0.1256, 0.7211)  1 C 1.15
O (0.9442, 0.3744, 0.2211)  1 C 1.15

---

Which of these has the highest energy relative to the elements?
Rh6C19NO15